Crystalline Li6MnV3P6O24 at its relaxed geometry. Source: the Materials Project database, functional GGA+U.

Cell: 8.4965 8.6331 14.9828 Å, 92.30 103.94 118.22°
Atoms (fractional coordinates):
Li: 0.5002 0.0007 0.0006
Li: 0.7452 0.4096 0.0640
Li: 0.7433 0.9059 0.5642
Li: 0.1272 0.5280 0.3747
Li: 0.1280 0.0285 0.8719
Li: 0.5016 0.5029 0.5018
Li: 0.9996 0.7504 0.2498
Li: 0.9954 0.2495 0.7496
Li: 0.8727 0.9726 0.1275
Li: 0.8705 0.4704 0.6279
Li: 0.2564 0.0917 0.4365
Li: 0.2500 0.5898 0.9359
Mn: 0.3607 0.7190 0.5716
Mn: 0.8576 0.4681 0.8191
V: 0.3648 0.2202 0.0722
V: 0.1448 0.5376 0.1826
V: 0.8550 0.9650 0.3180
V: 0.6348 0.2832 0.4275
V: 0.1457 0.0374 0.6816
V: 0.6368 0.7824 0.9273
P: 0.7489 0.2611 0.2242
P: 0.0528 0.7775 0.0269
P: 0.7509 0.7574 0.7243
P: 0.4476 0.8385 0.3756
P: 0.5517 0.6629 0.1253
P: 0.9464 0.7241 0.4739
P: 0.0500 0.2776 0.5250
P: 0.4531 0.3397 0.8742
P: 0.5512 0.1569 0.6249
P: 0.2504 0.2398 0.2754
P: 0.9497 0.2275 0.9747
P: 0.2497 0.7382 0.7747
O: 0.3206 0.2227 0.1933
O: 0.6033 0.2028 0.1265
O: 0.7585 0.5518 0.4688
O: 0.3868 0.6327 0.1600
O: 0.5396 0.4847 0.0928
O: 0.4611 0.0172 0.4074
O: 0.9106 0.4539 0.2268
O: 0.6126 0.8661 0.3419
O: 0.2378 0.9534 0.0335
O: 0.9146 0.9517 0.7291
O: 0.9756 0.3573 0.0581
O: 0.5476 0.7728 0.0445
O: 0.1849 0.3791 0.2689
O: 0.9778 0.8570 0.5577
O: 0.1862 0.8782 0.7681
O: 0.1066 0.6838 0.4835
O: 0.7468 0.7755 0.1986
O: 0.3959 0.2978 0.3733
O: 0.1153 0.1919 0.9873
O: 0.3143 0.7132 0.6914
O: 0.7484 0.2670 0.6943
O: 0.9324 0.8005 0.3813
O: 0.9409 0.3054 0.8822
O: 0.0638 0.7046 0.1208
O: 0.0645 0.2030 0.6180
O: 0.2526 0.7251 0.3028
O: 0.6791 0.2785 0.3066
O: 0.8851 0.8105 0.0115
O: 0.6107 0.6991 0.6259
O: 0.2576 0.2269 0.8012
O: 0.8835 0.3113 0.5118
O: 0.8140 0.1214 0.2308
O: 0.4514 0.7284 0.4573
O: 0.0248 0.1467 0.4421
O: 0.8154 0.6162 0.7316
O: 0.4563 0.2301 0.9555
O: 0.0331 0.6471 0.9467
O: 0.0887 0.0467 0.2729
O: 0.7636 0.0527 0.9672
O: 0.3884 0.1283 0.6610
O: 0.0859 0.5453 0.7742
O: 0.5356 0.9754 0.5929
O: 0.4659 0.5178 0.9072
O: 0.6178 0.3683 0.8395
O: 0.2353 0.4524 0.5296
O: 0.5407 0.2641 0.5431
O: 0.3963 0.7954 0.8719
O: 0.6790 0.7744 0.8057

Summary:
DFT formation energy ... -2.650 eV per atom
Excess energy over the best structure of this formula in the dataset ... 0.036 eV per atom